Material: V2O5
Method: DFT, PBE with a Hubbard U
State: optimized geometry

```
105
Lattice="12.823 0.186 -0.421 0.180 11.666 0.222 -0.414 0.187 12.617" Properties=species:S:1:pos:R:3 pbc="T T T"
O 6.492 7.245 9.201
O 0.125 2.782 2.791
O 5.400 5.755 3.754
O 0.365 1.704 11.524
O 5.423 4.309 3.961
O 5.983 6.904 6.520
O 9.539 5.153 9.401
O 1.787 11.023 12.565
O 4.140 6.810 1.406
O 1.631 8.742 2.285
O 9.092 7.038 11.415
O 10.462 9.360 11.127
O 11.970 5.559 2.870
O 8.218 4.161 11.667
O 9.358 5.743 1.241
O 1.423 9.789 5.154
O 9.280 9.817 0.222
O 5.393 10.567 8.738
O 11.933 3.424 4.875
O 10.172 2.566 9.889
O 9.611 4.207 6.733
O -0.106 11.035 10.386
O 6.178 3.798 6.692
O 3.832 5.507 5.918
O 8.616 6.665 7.482
O 10.086 11.539 10.054
O 7.100 9.982 4.793
O 6.475 7.807 2.424
O 7.803 0.530 3.446
O 7.633 7.710 -0.021
O 4.544 10.436 12.406
O 6.744 5.509 0.787
O 3.284 0.689 10.462
O 4.149 1.406 0.288
O 8.845 1.120 12.032
O 12.027 11.446 -0.041
O 9.033 2.637 1.750
O 0.103 8.318 10.237
O 8.665 2.901 4.495
O 7.659 9.684 10.357
O 1.654 7.822 12.516
O 2.925 4.154 8.711
O 7.659 0.313 8.309
O 0.684 0.969 5.135
O 6.816 1.131 5.802
O 4.998 11.245 5.813
O 10.767 1.297 3.584
O 3.873 2.314 5.440
O 2.385 4.220 3.969
O 11.982 4.504 0.321
O 2.564 2.942 9.431
O 0.332 4.645 10.072
O 10.643 6.442 5.245
O 4.011 8.986 6.910
O 0.723 5.994 5.606
O 12.219 8.182 3.679
O 5.246 1.596 7.944
O 12.594 10.770 2.702
O 2.961 1.478 2.845
O 10.854 9.476 8.321
O 5.397 11.321 3.074
O 7.967 2.735 8.685
O 6.895 1.910 0.255
O 2.566 3.894 11.785
O 7.734 5.463 5.165
O 12.695 11.036 6.818
O 5.322 2.322 2.710
O 2.807 9.358 10.433
O 5.015 3.006 10.812
O 1.461 5.558 1.642
O 2.379 6.502 10.185
O 2.675 6.890 3.732
O 2.597 11.287 7.408
O 7.540 9.338 7.549
O 10.178 1.189 7.427
V 0.281 11.789 11.949
V 0.606 9.310 3.644
V 5.763 6.431 2.004
V 3.562 2.445 11.224
V 1.938 4.628 10.223
V 3.257 10.821 11.499
V 8.393 5.850 -0.031
V 8.439 8.698 11.699
V 9.182 5.627 6.101
V 7.108 10.406 8.845
V 1.166 11.167 6.338
V 9.351 1.248 8.798
V 1.752 7.980 10.825
V 2.470 5.662 4.912
V 9.008 1.796 3.378
V 12.085 6.549 4.307
V 4.240 10.560 7.205
V 10.032 11.184 11.936
V 11.570 9.746 9.742
V 6.472 11.442 4.572
V 3.845 2.909 3.943
V 6.614 2.067 7.241
V 5.858 5.211 5.692
V 8.908 3.777 9.915
V 2.355 7.127 1.773
V 0.098 4.419 2.042
V 7.081 7.525 7.708
V 12.284 2.192 3.890
V 8.441 2.319 0.118
V 4.411 1.069 2.012
```

Summary:
ΔH_f (0 K) ... -41.2 kcal/mol of atoms
SG ... P1, No. 1